1.
! CaTe2O5 (meta-GGA r2SCAN, optimized geometry); values from VASP
! **Raw total energy**: -12.760 eV/atom
! **DFT formation energy**: -1.793 eV/atom
&SYSTEM
  ibrav = 0, nat = 32, ntyp = 3
/
ATOMIC_SPECIES
Ca 40.08 Ca.upf
Te 127.60 Te.upf
O 16.00 O.upf
ATOMIC_POSITIONS crystal
Ca 0.201 0.021 0.361
Ca 0.701 0.979 0.139
Ca 0.799 0.979 0.639
Ca 0.299 0.021 0.861
Te 0.821 0.263 0.778
Te 0.321 0.737 0.722
Te 0.179 0.737 0.222
Te 0.679 0.263 0.278
Te 0.355 0.349 0.511
Te 0.855 0.651 0.989
Te 0.645 0.651 0.489
Te 0.145 0.349 0.011
O 0.894 0.478 0.909
O 0.394 0.522 0.591
O 0.106 0.522 0.091
O 0.606 0.478 0.409
O 0.524 0.204 0.654
O 0.024 0.796 0.846
O 0.476 0.796 0.346
O 0.976 0.204 0.154
O 0.090 0.226 0.902
O 0.590 0.774 0.598
O 0.910 0.774 0.098
O 0.410 0.226 0.402
O 0.508 0.142 0.214
O 0.008 0.858 0.286
O 0.492 0.858 0.786
O 0.992 0.142 0.714
O 0.855 0.118 0.413
O 0.355 0.882 0.087
O 0.145 0.882 0.587
O 0.645 0.118 0.913
CELL_PARAMETERS angstrom
5.717 0.000 0.000
0.000 9.433 0.063
0.000 4.592 10.105


2.
! Sm3Os (meta-GGA r2SCAN, optimized geometry); values from VASP
! **Raw total energy**: -35.753 eV/atom
! **DFT formation energy**: -0.207 eV/atom
&SYSTEM
  ibrav = 0, nat = 16, ntyp = 2
/
ATOMIC_SPECIES
Sm 150.36 Sm.upf
Os 190.23 Os.upf
ATOMIC_POSITIONS crystal
Sm 0.328 0.673 0.066
Sm 0.172 0.173 0.434
Sm 0.672 0.327 0.566
Sm 0.828 0.827 0.934
Sm 0.672 0.327 0.934
Sm 0.828 0.827 0.566
Sm 0.328 0.673 0.434
Sm 0.172 0.173 0.066
Sm 0.866 0.545 0.250
Sm 0.634 0.045 0.250
Sm 0.134 0.455 0.750
Sm 0.366 0.955 0.750
Os 0.039 0.887 0.250
Os 0.461 0.387 0.250
Os 0.961 0.113 0.750
Os 0.539 0.613 0.750
CELL_PARAMETERS angstrom
0.000 0.000 6.511
7.434 0.000 0.000
0.000 9.351 0.000


3.
! K2SiH4N2O2 (meta-GGA r2SCAN, optimized geometry); values from VASP
! **Raw total energy**: -7.158 eV/atom
! **DFT formation energy**: -1.264 eV/atom
&SYSTEM
  ibrav = 0, nat = 44, ntyp = 5
/
ATOMIC_SPECIES
K 39.10 K.upf
Si 28.09 Si.upf
H 1.01 H.upf
N 14.01 N.upf
O 16.00 O.upf
ATOMIC_POSITIONS crystal
K 0.563 0.652 0.159
K 0.063 0.348 0.341
K 0.437 0.348 0.841
K 0.937 0.652 0.659
K 0.194 0.664 0.976
K 0.694 0.336 0.524
K 0.806 0.336 0.024
K 0.306 0.664 0.476
Si 0.422 0.211 0.254
Si 0.922 0.789 0.246
Si 0.578 0.789 0.746
Si 0.078 0.211 0.754
H 0.877 0.055 0.444
H 0.377 0.945 0.056
H 0.123 0.945 0.556
H 0.623 0.055 0.944
H 0.760 0.052 0.286
H 0.260 0.948 0.214
H 0.240 0.948 0.714
H 0.740 0.052 0.786
H 0.813 0.743 0.966
H 0.313 0.257 0.534
H 0.187 0.257 0.034
H 0.687 0.743 0.466
H 0.931 0.912 0.944
H 0.431 0.088 0.556
H 0.069 0.088 0.056
H 0.569 0.912 0.444
N 0.140 0.974 0.687
N 0.640 0.026 0.813
N 0.860 0.026 0.313
N 0.360 0.974 0.187
N 0.905 0.785 0.014
N 0.405 0.215 0.486
N 0.095 0.215 0.986
N 0.595 0.785 0.514
O 0.833 0.602 0.319
O 0.333 0.398 0.181
O 0.167 0.398 0.681
O 0.667 0.602 0.819
O 0.079 0.781 0.301
O 0.579 0.219 0.199
O 0.921 0.219 0.699
O 0.421 0.781 0.801
CELL_PARAMETERS angstrom
9.916 0.000 0.000
0.000 6.629 -0.001
0.000 0.126 7.569


4.
! ZrRe2 (meta-GGA r2SCAN, optimized geometry); values from VASP
! **Raw total energy**: -42.956 eV/atom
! **DFT formation energy**: -0.432 eV/atom
&SYSTEM
  ibrav = 0, nat = 12, ntyp = 2
/
ATOMIC_SPECIES
Zr 91.22 Zr.upf
Re 186.21 Re.upf
ATOMIC_POSITIONS crystal
Zr 0.333 0.667 0.439
Zr 0.667 0.333 0.939
Zr 0.667 0.333 0.561
Zr 0.333 0.667 0.061
Re 0.657 0.829 0.750
Re 0.343 0.171 0.250
Re 0.829 0.171 0.250
Re 0.171 0.343 0.750
Re 0.171 0.829 0.750
Re 0.829 0.657 0.250
Re 0.000 0.000 0.500
Re 0.000 0.000 0.000
CELL_PARAMETERS angstrom
5.285 0.000 0.000
-2.642 4.577 0.000
0.000 0.000 8.657


5.
! TbDyHg2 (meta-GGA r2SCAN, optimized geometry); values from VASP
! **Raw total energy**: -41.072 eV/atom
! **DFT formation energy**: -0.586 eV/atom
&SYSTEM
  ibrav = 0, nat = 4, ntyp = 3
/
ATOMIC_SPECIES
Tb 158.93 Tb.upf
Dy 162.50 Dy.upf
Hg 200.59 Hg.upf
ATOMIC_POSITIONS crystal
Tb 0.000 0.000 0.000
Dy 0.500 0.500 0.500
Hg 0.250 0.250 0.250
Hg 0.750 0.750 0.750
CELL_PARAMETERS angstrom
0.000 3.701 3.701
3.701 0.000 3.701
3.701 3.701 0.000


6.
! K3Mn4O8 (meta-GGA r2SCAN, optimized geometry); values from VASP
! **Raw total energy**: -10.363 eV/atom
! **DFT formation energy**: -2.058 eV/atom
&SYSTEM
  ibrav = 0, nat = 60, ntyp = 3
/
ATOMIC_SPECIES
K 39.10 K.upf
Mn 54.94 Mn.upf
O 16.00 O.upf
ATOMIC_POSITIONS crystal
K 0.747 0.701 0.753
K 0.752 0.699 0.251
K 0.480 0.075 0.749
K 0.026 0.391 0.248
K 0.482 0.054 0.251
K 0.249 0.703 0.252
K 0.235 0.788 0.750
K 0.002 0.411 0.751
K 0.970 0.082 0.746
K 0.981 0.059 0.248
K 0.492 0.421 0.749
K 0.527 0.400 0.253
Mn 0.244 0.746 0.001
Mn 0.238 0.743 0.498
Mn 0.735 0.246 0.000
Mn 0.745 0.241 0.502
Mn 0.745 0.745 0.001
Mn 0.744 0.742 0.501
Mn 0.231 0.246 0.996
Mn 0.238 0.243 0.496
Mn 0.994 0.995 0.000
Mn 0.990 0.990 0.504
Mn 0.484 0.496 0.999
Mn 0.492 0.494 0.496
Mn 0.502 0.996 0.006
Mn 0.492 0.990 0.505
Mn 0.981 0.497 0.996
Mn 0.993 0.494 0.496
O 0.760 0.946 0.927
O 0.757 0.942 0.429
O 0.218 0.436 0.913
O 0.223 0.438 0.407
O 0.218 0.940 0.910
O 0.218 0.936 0.415
O 0.714 0.435 0.911
O 0.760 0.443 0.420
O 0.974 0.688 0.916
O 0.971 0.685 0.413
O 0.504 0.192 0.926
O 0.473 0.180 0.417
O 0.478 0.690 0.916
O 0.478 0.687 0.415
O 0.964 0.186 0.913
O 0.968 0.178 0.416
O 0.012 0.800 0.587
O 0.016 0.810 0.087
O 0.509 0.303 0.583
O 0.505 0.299 0.087
O 0.507 0.798 0.586
O 0.512 0.808 0.085
O 0.014 0.306 0.583
O 0.967 0.296 0.073
O 0.226 0.542 0.571
O 0.263 0.553 0.090
O 0.759 0.048 0.591
O 0.763 0.055 0.087
O 0.765 0.549 0.586
O 0.764 0.554 0.090
O 0.223 0.042 0.580
O 0.228 0.049 0.073
CELL_PARAMETERS angstrom
-3.604 0.133 5.120
-4.196 -9.088 -1.593
6.989 -8.854 6.444


7.
! TiCo3 (meta-GGA r2SCAN, optimized geometry); values from VASP
! **Raw total energy**: -13.272 eV/atom
! **DFT formation energy**: -0.112 eV/atom
&SYSTEM
  ibrav = 0, nat = 8, ntyp = 2
/
ATOMIC_SPECIES
Ti 47.87 Ti.upf
Co 58.93 Co.upf
ATOMIC_POSITIONS crystal
Ti 0.750 0.667 0.334
Ti 0.250 0.333 0.666
Co 0.750 0.162 0.323
Co 0.750 0.162 0.838
Co 0.750 0.677 0.838
Co 0.250 0.838 0.677
Co 0.250 0.838 0.162
Co 0.250 0.323 0.162
CELL_PARAMETERS angstrom
0.000 0.000 -4.239
-2.519 -4.362 0.000
-2.520 4.363 0.000


8.
! Ba3TiS5 (meta-GGA r2SCAN, optimized geometry); values from VASP
! **Raw total energy**: -16.859 eV/atom
! **DFT formation energy**: -2.125 eV/atom
&SYSTEM
  ibrav = 0, nat = 18, ntyp = 3
/
ATOMIC_SPECIES
Ba 137.33 Ba.upf
Ti 47.87 Ti.upf
S 32.06 S.upf
ATOMIC_POSITIONS crystal
Ba 0.663 0.163 0.825
Ba 0.163 0.337 0.500
Ba 0.837 0.663 0.500
Ba 0.337 0.837 0.175
Ba 0.250 0.250 0.000
Ba 0.750 0.750 0.000
Ti 0.750 0.250 0.500
Ti 0.250 0.750 0.500
S 0.005 0.505 0.205
S 0.700 0.200 0.205
S 0.995 0.495 0.795
S 0.495 0.700 0.500
S 0.200 0.995 0.500
S 0.505 0.300 0.500
S 0.800 0.005 0.500
S 0.300 0.800 0.795
S 0.500 0.500 0.000
S 0.000 0.000 0.000
CELL_PARAMETERS angstrom
-4.266 4.266 6.972
4.266 -4.266 6.972
4.266 4.266 -6.972


9.
! NiSeO4 (meta-GGA r2SCAN, optimized geometry); values from VASP
! **Raw total energy**: -9.246 eV/atom
! **DFT formation energy**: -0.882 eV/atom
&SYSTEM
  ibrav = 0, nat = 12, ntyp = 3
/
ATOMIC_SPECIES
Ni 58.69 Ni.upf
Se 78.96 Se.upf
O 16.00 O.upf
ATOMIC_POSITIONS crystal
Ni 0.000 0.000 0.000
Ni 0.000 0.000 0.500
Se 0.351 0.649 0.750
Se 0.649 0.351 0.250
O 0.228 0.275 0.750
O 0.772 0.725 0.250
O 0.275 0.228 0.250
O 0.725 0.772 0.750
O 0.245 0.755 0.971
O 0.755 0.245 0.471
O 0.245 0.755 0.529
O 0.755 0.245 0.029
CELL_PARAMETERS angstrom
4.893 -0.006 0.000
-1.880 4.518 0.000
0.000 0.000 6.281


10.
! YSiIr (meta-GGA r2SCAN, optimized geometry); values from VASP
! **Raw total energy**: -28.311 eV/atom
! **DFT formation energy**: -1.162 eV/atom
&SYSTEM
  ibrav = 0, nat = 12, ntyp = 3
/
ATOMIC_SPECIES
Y 88.91 Y.upf
Si 28.09 Si.upf
Ir 192.22 Ir.upf
ATOMIC_POSITIONS crystal
Y 0.250 0.002 0.313
Y 0.250 0.502 0.187
Y 0.750 0.998 0.687
Y 0.750 0.498 0.813
Si 0.250 0.300 0.609
Si 0.250 0.800 0.891
Si 0.750 0.700 0.391
Si 0.750 0.200 0.109
Ir 0.250 0.156 0.933
Ir 0.250 0.656 0.567
Ir 0.750 0.844 0.067
Ir 0.750 0.344 0.433
CELL_PARAMETERS angstrom
4.222 0.000 0.000
0.000 6.852 0.000
0.000 0.000 7.436


11.
! Sr3Ca (meta-GGA r2SCAN, optimized geometry); values from VASP
! **Raw total energy**: -13.080 eV/atom
! **DFT formation energy**: 0.039 eV/atom
&SYSTEM
  ibrav = 0, nat = 4, ntyp = 2
/
ATOMIC_SPECIES
Sr 87.62 Sr.upf
Ca 40.08 Ca.upf
ATOMIC_POSITIONS crystal
Sr 0.000 0.500 0.500
Sr 0.500 0.000 0.500
Sr 0.500 0.500 0.000
Ca 0.000 0.000 0.000
CELL_PARAMETERS angstrom
5.989 0.000 0.000
0.000 5.989 0.000
0.000 0.000 5.989


12.
! ThGeS (meta-GGA r2SCAN, optimized geometry); values from VASP
! **Raw total energy**: -33.376 eV/atom
! **DFT formation energy**: -1.582 eV/atom
&SYSTEM
  ibrav = 0, nat = 6, ntyp = 3
/
ATOMIC_SPECIES
Th 232.04 Th.upf
Ge 72.64 Ge.upf
S 32.06 S.upf
ATOMIC_POSITIONS crystal
Th 0.861 0.861 0.722
Th 0.139 0.139 0.278
Ge 0.500 0.000 0.000
Ge 0.000 0.500 0.000
S 0.688 0.688 0.375
S 0.312 0.312 0.625
CELL_PARAMETERS angstrom
3.872 0.000 -0.868
-0.194 3.867 -0.868
-0.012 -0.012 9.022


13.
! Er3SbO7 (meta-GGA r2SCAN, optimized geometry); values from VASP
! **Raw total energy**: -18.712 eV/atom
! **DFT formation energy**: -3.322 eV/atom
&SYSTEM
  ibrav = 0, nat = 22, ntyp = 3
/
ATOMIC_SPECIES
Er 167.26 Er.upf
Sb 121.76 Sb.upf
O 16.00 O.upf
ATOMIC_POSITIONS crystal
Er 0.999 0.468 0.749
Er 0.001 0.532 0.249
Er 0.532 0.001 0.751
Er 0.468 0.999 0.251
Er 0.505 0.505 0.500
Er 0.495 0.495 0.000
Sb 0.000 0.000 0.500
Sb 0.000 0.000 0.000
O 0.638 0.362 0.750
O 0.362 0.638 0.250
O 0.929 0.071 0.750
O 0.071 0.929 0.250
O 0.925 0.676 0.530
O 0.075 0.324 0.030
O 0.324 0.075 0.970
O 0.676 0.925 0.470
O 0.370 0.630 0.750
O 0.630 0.370 0.250
O 0.930 0.678 0.968
O 0.070 0.322 0.468
O 0.322 0.070 0.532
O 0.678 0.930 0.032
CELL_PARAMETERS angstrom
-5.792 -2.455 0.948
4.402 -4.298 1.621
0.018 2.621 6.900


14.
! Tm2TeO6 (meta-GGA r2SCAN, optimized geometry); values from VASP
! **Raw total energy**: -17.486 eV/atom
! **DFT formation energy**: -2.875 eV/atom
! **Energy above the lowest structure with this stoichiometry**: 0.002 eV per atom
&SYSTEM
  ibrav = 0, nat = 27, ntyp = 3
/
ATOMIC_SPECIES
Tm 168.93 Tm.upf
Te 127.60 Te.upf
O 16.00 O.upf
ATOMIC_POSITIONS crystal
Tm 0.000 0.620 0.500
Tm 0.000 0.284 0.000
Tm 0.380 0.380 0.500
Tm 0.284 0.000 0.000
Tm 0.716 0.716 0.000
Tm 0.620 0.000 0.500
Te 0.333 0.667 0.998
Te 0.000 0.000 0.500
Te 0.667 0.333 0.002
O 0.080 0.878 0.287
O 0.226 0.763 0.781
O 0.131 0.544 0.213
O 0.413 0.869 0.213
O 0.237 0.463 0.781
O 0.122 0.202 0.287
O 0.202 0.122 0.713
O 0.537 0.774 0.781
O 0.456 0.587 0.213
O 0.798 0.920 0.287
O 0.463 0.237 0.219
O 0.587 0.456 0.787
O 0.544 0.131 0.787
O 0.774 0.537 0.219
O 0.920 0.798 0.713
O 0.763 0.226 0.219
O 0.869 0.413 0.787
O 0.878 0.080 0.713
CELL_PARAMETERS angstrom
4.478 -7.756 0.000
4.478 7.756 0.000
0.000 0.000 5.083


15.
! TmHg (meta-GGA r2SCAN, optimized geometry); values from VASP
! **Raw total energy**: -42.810 eV/atom
! **DFT formation energy**: -0.565 eV/atom
&SYSTEM
  ibrav = 0, nat = 2, ntyp = 2
/
ATOMIC_SPECIES
Tm 168.93 Tm.upf
Hg 200.59 Hg.upf
ATOMIC_POSITIONS crystal
Tm 0.500 0.500 0.500
Hg 0.000 0.000 0.000
CELL_PARAMETERS angstrom
-2.335 -1.377 2.436
2.772 -1.575 1.766
0.385 2.984 2.056


16.
! EuSiPt2 (meta-GGA r2SCAN, optimized geometry); values from VASP
! **Raw total energy**: -38.702 eV/atom
! **DFT formation energy**: -1.134 eV/atom
&SYSTEM
  ibrav = 0, nat = 8, ntyp = 3
/
ATOMIC_SPECIES
Eu 151.96 Eu.upf
Si 28.09 Si.upf
Pt 195.08 Pt.upf
ATOMIC_POSITIONS crystal
Eu 0.598 0.250 0.197
Eu 0.402 0.750 0.803
Si 0.823 0.250 0.645
Si 0.177 0.750 0.355
Pt 0.952 0.250 0.905
Pt 0.048 0.750 0.095
Pt 0.252 0.250 0.503
Pt 0.749 0.750 0.497
CELL_PARAMETERS angstrom
-2.363 -2.187 -2.629
-2.710 3.180 -0.209
5.717 4.504 -5.603